First-principles (PBE) data for an optimized crystal structure of CePPd, as listed in the Materials Project.

Summary:
**Crystal system**: hexagonal
**Raw total energy**: -6.714 eV per atom
**E_form**: -3.616 eV per formula unit

Lattice parameters (Å, degrees): 4.2113 4.2113 7.8634 90.00 90.00 120.00
With the nearest neighbours (Å) after each atom.
Space group P6_3/mmc (No. 194)
Inequivalent atoms, fractional coordinates:
Ce: 0.0000 0.0000 0.0000 x2  6 Pd 3.13, 6 P 3.13
P: 0.3333 0.6667 0.2500 x2  3 Pd 2.43
Pd: 0.3333 0.6667 0.7500 x2  3 P 2.43